(1)
# Ca2AlCuO5 (PBE-GGA, optimized geometry)
# ΔE_f: -259.37 kJ/mol of atoms
# density: 3.816 Mg/m³
# VASP energy: -6.37 eV per atom
data_Ca2AlCuO5
_chemical_formula_sum 'Ca8 Al4 Cu4 O20'
_symmetry_space_group_name_H-M 'I m a 2'
_symmetry_Int_Tables_number 46
_symmetry_space_group_name_Hall 'I 2 -2a'
_cell_length_a 14.703
_cell_length_b 5.625
_cell_length_c 5.275
_cell_angle_alpha 90.00
_cell_angle_beta 90.00
_cell_angle_gamma 90.00
loop_
_atom_site_label
_atom_site_fract_x
_atom_site_fract_y
_atom_site_fract_z
Ca1 0.108 0.029 0.000
Al1 0.250 0.577 0.969
Cu1 0.000 0.000 0.510
O1 0.017 0.748 0.759
O2 0.147 0.072 0.543
O3 0.250 0.643 0.634

---

(2)
# Ca2AlF7 (PBE-GGA, optimized geometry)
# ΔE_f: -394.40 kJ/mol of atoms
# density: 2.985 Mg/m³
# VASP energy: -5.88 eV per atom
data_Ca2AlF7
_chemical_formula_sum 'Ca8 Al4 F28'
_symmetry_space_group_name_H-M 'P n m a'
_symmetry_Int_Tables_number 62
_symmetry_space_group_name_Hall '-P 2ac 2n'
_cell_length_a 7.801
_cell_length_b 7.086
_cell_length_c 9.667
_cell_angle_alpha 90.00
_cell_angle_beta 90.00
_cell_angle_gamma 90.00
loop_
_atom_site_label
_atom_site_fract_x
_atom_site_fract_y
_atom_site_fract_z
Ca1 0.116 0.250 0.241
Ca2 0.194 0.750 0.396
Al1 0.190 0.750 0.057
F1 0.031 0.250 0.009
F2 0.095 0.250 0.624
F3 0.126 0.750 0.630
F4 0.132 0.572 0.186
F5 0.249 0.074 0.425

---

(3)
# CaAl2F8 (PBE-GGA, optimized geometry)
# ΔE_f: -376.79 kJ/mol of atoms
# density: 2.893 Mg/m³
# VASP energy: -5.82 eV per atom
data_CaAl2F8
_chemical_formula_sum 'Ca4 Al8 F32'
_symmetry_space_group_name_H-M 'C 1 2/c 1'
_symmetry_Int_Tables_number 15
_symmetry_space_group_name_Hall '-C 2yc'
_cell_length_a 6.731
_cell_length_b 11.124
_cell_length_c 7.549
_cell_angle_alpha 90.00
_cell_angle_beta 92.10
_cell_angle_gamma 90.00
loop_
_atom_site_label
_atom_site_fract_x
_atom_site_fract_y
_atom_site_fract_z
Ca1 0.000 0.035 0.250
Al1 0.000 0.369 0.250
Al2 0.250 0.250 0.000
F1 0.034 0.349 0.010
F2 0.081 0.122 0.970
F3 0.193 0.471 0.289
F4 0.194 0.239 0.241

---

(4)
# NaCaAlH2OF6 (PBE-GGA, optimized geometry)
# ΔE_f: -306.08 kJ/mol of atoms
# density: 2.857 Mg/m³
# VASP energy: -5.41 eV per atom
data_NaCaAlH2OF6
_chemical_formula_sum 'Na8 Ca8 Al8 H16 O8 F48'
_symmetry_space_group_name_H-M 'C 1 2/c 1'
_symmetry_Int_Tables_number 15
_symmetry_space_group_name_Hall '-C 2yc'
_cell_length_a 12.225
_cell_length_b 10.548
_cell_length_c 10.049
_cell_angle_alpha 90.00
_cell_angle_beta 127.18
_cell_angle_gamma 90.00
loop_
_atom_site_label
_atom_site_fract_x
_atom_site_fract_y
_atom_site_fract_z
Na1 0.117 0.123 0.492
Ca1 0.000 0.179 0.750
Ca2 0.000 0.422 0.250
Al1 0.224 0.124 0.256
H1 0.111 0.383 0.024
H2 0.198 0.386 0.957
O1 0.104 0.376 0.922
F1 0.090 0.240 0.200
F2 0.105 0.003 0.230
F3 0.149 0.107 0.031
F4 0.155 0.499 0.205
F5 0.163 0.250 0.717
F6 0.196 0.364 0.520

---

(5)
# NaCaAlH2OF6 (PBE-GGA, optimized geometry)
# ΔE_f: -306.15 kJ/mol of atoms
# density: 2.866 Mg/m³
# VASP energy: -5.41 eV per atom
data_NaCaAlH2OF6
_chemical_formula_sum 'Na4 Ca4 Al4 H8 O4 F24'
_symmetry_space_group_name_H-M 'P 1 21/c 1'
_symmetry_Int_Tables_number 14
_symmetry_space_group_name_Hall '-P 2ybc'
_cell_length_a 5.671
_cell_length_b 5.603
_cell_length_c 16.285
_cell_angle_alpha 90.00
_cell_angle_beta 95.93
_cell_angle_gamma 90.00
loop_
_atom_site_label
_atom_site_fract_x
_atom_site_fract_y
_atom_site_fract_z
Na1 0.246 0.143 0.252
Ca1 0.305 0.671 0.402
Al1 0.219 0.678 0.139
H1 0.204 0.112 0.051
H2 0.248 0.179 0.490
O1 0.308 0.163 0.009
F1 0.056 0.530 0.625
F2 0.060 0.014 0.373
F3 0.186 0.700 0.250
F4 0.236 0.661 0.029
F5 0.405 0.086 0.658
F6 0.488 0.634 0.655

---

(6)
# NaCaAlPHO5F2 (PBE-GGA, optimized geometry)
# ΔE_f: -297.25 kJ/mol of atoms
# density: 2.960 Mg/m³
# VASP energy: -6.42 eV per atom
data_NaCaAlPHO5F2
_chemical_formula_sum 'Na2 Ca2 Al2 P2 H2 O10 F4'
_symmetry_space_group_name_H-M 'P 1 21/m 1'
_symmetry_Int_Tables_number 11
_symmetry_space_group_name_Hall '-P 2yb'
_cell_length_a 5.594
_cell_length_b 7.300
_cell_length_c 6.957
_cell_angle_alpha 90.00
_cell_angle_beta 108.58
_cell_angle_gamma 90.00
loop_
_atom_site_label
_atom_site_fract_x
_atom_site_fract_y
_atom_site_fract_z
Na1 0.029 0.250 0.042
Ca1 0.000 0.000 0.500
Al1 0.500 0.000 0.000
P1 0.464 0.750 0.366
H1 0.479 0.750 0.770
O1 0.261 0.250 0.487
O2 0.271 0.750 0.485
O3 0.417 0.577 0.229
O4 0.472 0.250 0.080
F1 0.156 0.001 0.849

---

Look up the density of the first one. 3.816 Mg/m³